Material: BeAu
Method: DFT, meta-GGA r2SCAN
State: optimized geometry

Calculated values
calculated volume = 12.87 Å³ per atom
magnetization = 0.00 μB per cell
theoretical density = 13.288 g/cm3
formation energy = -0.15 eV per atom

Cell and atoms, written as CIF:
```
data_BeAu
_chemical_formula_sum 'Be4 Au4'
_space_group_name_H-M_alt 'P 21 3'
_space_group_IT_number 198
_space_group_name_Hall 'P 2ac 2ab 3'
_cell_length_a 4.687
_cell_length_b 4.687
_cell_length_c 4.687
_cell_angle_alpha 90.00
_cell_angle_beta 90.00
_cell_angle_gamma 90.00
loop_
_atom_site_label
_atom_site_type_symbol
_atom_site_fract_x
_atom_site_fract_y
_atom_site_fract_z
Be1 Be 0.154 0.346 0.654
Au1 Au 0.153 0.153 0.153
```

=====

Material: Be5Au
Method: DFT, meta-GGA r2SCAN
State: optimized geometry

Calculated values
calculated volume = 9.45 Å³ per atom
magnetization = 0.00 μB per cell
theoretical density = 7.090 g/cm3
formation energy = -0.10 eV per atom

Cell and atoms, written as CIF:
```
data_Be5Au
_chemical_formula_sum 'Be20 Au4'
_space_group_name_H-M_alt 'F -4 3 m'
_space_group_IT_number 216
_space_group_name_Hall 'F -4 2 3'
_cell_length_a 6.098
_cell_length_b 6.098
_cell_length_c 6.098
_cell_angle_alpha 90.00
_cell_angle_beta 90.00
_cell_angle_gamma 90.00
loop_
_atom_site_label
_atom_site_type_symbol
_atom_site_fract_x
_atom_site_fract_y
_atom_site_fract_z
Be1 Be 0.000 0.000 0.000
Be2 Be 0.125 0.125 0.375
Au1 Au 0.250 0.250 0.750
```

=====

> Among the records above, which one has the highest calculated volume?

BeAu

=====

> What is the formula in the first record?

BeAu